First-principles (r²SCAN) data for a relaxed structure of Li4Ga3Si3IO12, as listed in the Materials Project database.

Cell: 8.6366 8.6366 8.6366 Å, 90.00 90.00 90.00°
Last column: nearest neighbours and their distance in Å.
Fractional positions:
Li  0.1892  0.8108  0.8108  3 O 1.98
Li  0.8108  0.1892  0.8108  3 O 1.98
Li  0.6892  0.3108  0.3108  3 O 1.98
Li  0.1892  0.1892  0.1892  3 O 1.98
Li  0.8108  0.8108  0.1892  3 O 1.98
Li  0.6892  0.6892  0.6892  3 O 1.98
Li  0.3108  0.3108  0.6892  3 O 1.98
Li  0.3108  0.6892  0.3108  3 O 1.98
Ga  0.0000  0.7500  0.5000  4 O 1.83
Ga  0.2500  0.5000  0.0000  4 O 1.83
Ga  0.5000  0.0000  0.7500  4 O 1.83
Ga  0.5000  0.0000  0.2500  4 O 1.83
Ga  0.0000  0.2500  0.5000  4 O 1.83
Ga  0.7500  0.5000  0.0000  4 O 1.83
Si  0.0000  0.5000  0.2500  4 O 1.63
Si  0.5000  0.7500  0.0000  4 O 1.63
Si  0.5000  0.2500  0.0000  4 O 1.63
Si  0.0000  0.5000  0.7500  4 O 1.63
Si  0.7500  0.0000  0.5000  4 O 1.63
Si  0.2500  0.0000  0.5000  4 O 1.63
I  0.0000  0.0000  0.0000  4 Li 2.83
I  0.5000  0.5000  0.5000  4 Li 2.83
O  0.1294  0.5928  0.8517  1 Si 1.63
O  0.0928  0.6294  0.3517  1 Si 1.63
O  0.4072  0.8517  0.8706  1 Si 1.63
O  0.4072  0.1483  0.1294  1 Si 1.63
O  0.1483  0.8706  0.5928  1 Si 1.63
O  0.5928  0.8517  0.1294  1 Si 1.63
O  0.3517  0.0928  0.6294  1 Si 1.63
O  0.9072  0.3706  0.3517  1 Si 1.63
O  0.5928  0.1483  0.8706  1 Si 1.63
O  0.3706  0.6483  0.0928  1 Si 1.63
O  0.3517  0.9072  0.3706  1 Si 1.63
O  0.0928  0.3706  0.6483  1 Si 1.63
O  0.8706  0.5928  0.1483  1 Si 1.63
O  0.6483  0.9072  0.6294  1 Si 1.63
O  0.9072  0.6294  0.6483  1 Si 1.63
O  0.8706  0.4072  0.8517  1 Si 1.63
O  0.6294  0.3517  0.0928  1 Si 1.63
O  0.6483  0.0928  0.3706  1 Si 1.63
O  0.8517  0.8706  0.4072  1 Si 1.63
O  0.3706  0.3517  0.9072  1 Si 1.63
O  0.1483  0.1294  0.4072  1 Si 1.63
O  0.1294  0.4072  0.1483  1 Si 1.63
O  0.6294  0.6483  0.9072  1 Si 1.63
O  0.8517  0.1294  0.5928  1 Si 1.63

Summary:
**E_form**: -2.514 eV/atom
**Final energy**: -9.749 eV per atom
**Space-group type**: P-43n
**Mass density**: 3300 kg/m³